Record 1
Density functional theory data (GGA+U) for Ca2CrH3I2O10 after structural relaxation.

Properties
As for the space group: P2_1/c (14). The calculated volume comes out at 14.39 Å³ per atom. The calculation puts the total moment at 1.00 μB per formula unit. The value obtained for the total energy is -5.333 eV per atom. Its formation energy from the elements is -1.58 eV per atom.

Unit cell a=7.4881 b=10.4169 c=13.7966 alpha=74.26 beta=90.00 gamma=90.00
Element x y z (fractional)
Ca 0.2386 0.8825 0.5167
Ca 0.7614 0.1175 0.4833
Ca 0.7386 0.1175 0.9833
Ca 0.2614 0.8825 0.0167
Ca 0.0598 0.7047 0.7898
Ca 0.9402 0.2953 0.2102
Ca 0.5598 0.2953 0.7102
Ca 0.4402 0.7047 0.2898
Cr 0.2888 0.5676 0.5726
Cr 0.7112 0.4324 0.4274
Cr 0.7888 0.4324 0.9274
Cr 0.2112 0.5676 0.0726
H 0.4891 0.6029 0.8513
H 0.5109 0.3971 0.1487
H 0.9891 0.3971 0.6487
H 0.0109 0.6029 0.3513
H 0.4632 0.5603 0.7190
H 0.5368 0.4397 0.2810
H 0.9632 0.4397 0.7810
H 0.0368 0.5603 0.2190
H 0.3987 0.6086 0.8249
H 0.6013 0.3914 0.1751
H 0.8987 0.3914 0.6751
H 0.1013 0.6086 0.3249
I 0.7334 0.7535 0.5680
I 0.2666 0.2465 0.4320
I 0.2334 0.2465 0.9320
I 0.7666 0.7535 0.0680
I 0.7053 0.9539 0.7697
I 0.2947 0.0461 0.2303
I 0.2053 0.0461 0.7303
I 0.7947 0.9539 0.2697
O 0.7904 0.7326 0.7012
O 0.2096 0.2674 0.2988
O 0.2904 0.2674 0.7988
O 0.7096 0.7326 0.2012
O 0.9036 0.8718 0.5012
O 0.0964 0.1282 0.4988
O 0.4036 0.1282 0.9988
O 0.5964 0.8718 0.0012
O 0.2104 0.4213 0.5695
O 0.7896 0.5787 0.4305
O 0.7104 0.5787 0.9305
O 0.2896 0.4213 0.0695
O 0.9045 0.8780 0.8398
O 0.0955 0.1220 0.1602
O 0.4045 0.1220 0.6602
O 0.5955 0.8780 0.3398
O 0.1506 0.6809 0.9635
O 0.8494 0.3191 0.0365
O 0.6506 0.3191 0.5365
O 0.3494 0.6809 0.4635
O 0.9458 0.8737 0.0632
O 0.0542 0.1263 0.9368
O 0.4458 0.1263 0.4368
O 0.5542 0.8737 0.5632
O 0.1868 0.9011 0.6790
O 0.8132 0.0989 0.3210
O 0.6868 0.0989 0.8210
O 0.3132 0.9011 0.1790
O 0.1575 0.6554 0.6366
O 0.8425 0.3446 0.3634
O 0.6575 0.3446 0.8634
O 0.3425 0.6554 0.1366
O 0.4893 0.5327 0.6580
O 0.5107 0.4673 0.3420
O 0.9893 0.4673 0.8420
O 0.0107 0.5327 0.1580
O 0.3124 0.9514 0.8457
O 0.6876 0.0486 0.1543
O 0.8124 0.0486 0.6543
O 0.1876 0.9514 0.3457



Record 2
Density functional theory data (GGA+U) for FeOF after structural relaxation.

Properties
As for the space group: P2_1 (4). The calculated volume comes out at 11.69 Å³ per atom. The calculation puts the total moment at 0.25 μB per formula unit. The value obtained for the total energy is -5.469 eV per atom. Its formation energy from the elements is -1.49 eV per atom.

Unit cell a=4.7704 b=4.7632 c=12.3475 alpha=89.92 beta=90.00 gamma=90.00
Element x y z (fractional)
Fe 0.5049 0.7976 0.1889
Fe 0.4629 0.7143 0.4376
Fe 0.5263 0.7775 0.6861
Fe 0.4946 0.7905 0.9373
Fe 0.9629 0.2857 0.5624
Fe 0.9946 0.2095 0.0627
Fe 0.0263 0.2225 0.3139
Fe 0.0049 0.2024 0.8111
O 0.3108 0.9329 0.3161
O 0.3174 0.9405 0.8087
O 0.3139 0.9500 0.0632
O 0.8108 0.0671 0.6839
O 0.8139 0.0500 0.9368
O 0.8174 0.0595 0.1913
O 0.1742 0.4309 0.4384
O 0.6742 0.5691 0.5616
F 0.2898 0.9506 0.5619
F 0.7898 0.0494 0.4380
F 0.1950 0.4539 0.6878
F 0.2036 0.4456 0.9362
F 0.2065 0.4468 0.1876
F 0.7065 0.5532 0.8124
F 0.7036 0.5544 0.0638
F 0.6950 0.5461 0.3122



Record 3
Density functional theory data (GGA+U) for Li4NbV3Cr2P6O24 after structural relaxation.

Properties
As for the space group: P1 (1). The calculated volume comes out at 12.35 Å³ per atom. The calculation puts the total moment at 16.00 μB per formula unit. The value obtained for the total energy is -7.299 eV per atom. Its formation energy from the elements is -2.55 eV per atom.

Unit cell a=8.6108 b=8.6618 c=8.8921 alpha=62.09 beta=62.31 gamma=62.75
Element x y z (fractional)
Li 0.7467 0.1475 0.3511
Li 0.2954 0.8492 0.6528
Li 0.6444 0.2945 0.8452
Li 0.8569 0.6466 0.3005
Nb 0.8494 0.8451 0.8504
V 0.3550 0.3534 0.3529
V 0.1438 0.1498 0.1462
V 0.6491 0.6494 0.6506
Cr 0.0145 0.9994 0.9957
Cr 0.4915 0.5041 0.5010
P 0.0595 0.7431 0.4467
P 0.4412 0.0564 0.7480
P 0.7510 0.4324 0.0468
P 0.2467 0.5556 0.9569
P 0.5576 0.9507 0.2518
P 0.9327 0.2471 0.5404
O 0.4698 0.9060 0.6846
O 0.6874 0.4624 0.8985
O 0.9104 0.6716 0.4768
O 0.0657 0.9057 0.2709
O 0.0058 0.8054 0.6106
O 0.2499 0.5927 0.4409
O 0.2536 0.0817 0.8974
O 0.4598 0.2370 0.5873
O 0.1707 0.4127 0.9907
O 0.6062 0.4218 0.2352
O 0.0989 0.7627 0.9129
O 0.4021 0.0094 0.1845
O 0.6018 0.9975 0.8218
O 0.9019 0.2396 0.0723
O 0.4044 0.5737 0.7701
O 0.8195 0.5948 0.9961
O 0.5614 0.7595 0.4109
O 0.7572 0.9031 0.1030
O 0.7442 0.4115 0.5661
O 0.9399 0.1848 0.4022
O 0.9001 0.1009 0.7388
O 0.1017 0.2918 0.4969
O 0.2950 0.5322 0.1110
O 0.5571 0.0941 0.3066



Record 4
Density functional theory data (GGA+U) for SrCaSmFeO6 after structural relaxation.

Properties
As for the space group: F-43m (216). The calculated volume comes out at 13.78 Å³ per atom. The calculation puts the total moment at 3.00 μB per formula unit. The value obtained for the total energy is -6.586 eV per atom. Its formation energy from the elements is -2.57 eV per atom. Its offset from the most stable computed form is 0.0 meV/atom.

Unit cell a=5.7979 b=5.7979 c=5.7979 alpha=60.00 beta=60.00 gamma=60.00
Element x y z (fractional)
Sr 0.2500 0.2500 0.2500
Ca 0.7500 0.7500 0.7500
Sm 0.5000 0.5000 0.5000
Fe 0.0000 0.0000 0.0000
O 0.7717 0.2283 0.2283
O 0.2283 0.7717 0.7717
O 0.7717 0.2283 0.7717
O 0.2283 0.7717 0.2283
O 0.7717 0.7717 0.2283
O 0.2283 0.2283 0.7717



Record 5
Density functional theory data (GGA+U) for Cr3FeO6 after structural relaxation.

Properties
As for the space group: P1 (1). The calculated volume comes out at 12.48 Å³ per atom. The calculation puts the total moment at 12.50 μB per formula unit. The value obtained for the total energy is -7.285 eV per atom. Its formation energy from the elements is -1.81 eV per atom. Its offset from the most stable computed form is 33.6 meV/atom.

Unit cell a=10.7259 b=8.9985 c=10.4201 alpha=94.09 beta=89.69 gamma=95.40
Element x y z (fractional)
Cr 0.3475 0.7918 0.4458
Cr 0.0942 0.9161 0.4421
Cr 0.9179 0.8934 0.0217
Cr 0.6733 0.1900 0.7372
Cr 0.7185 0.4344 0.0560
Cr 0.1698 0.0666 0.0154
Cr 0.1468 0.2441 0.5906
Cr 0.6423 0.8300 0.9918
Cr 0.9166 0.5255 0.3146
Cr 0.8521 0.1304 0.5230
Cr 0.9383 0.2919 0.8663
Cr 0.0160 0.9734 0.7204
Cr 0.5649 0.5383 0.8584
Cr 0.3400 0.1347 0.7430
Cr 0.6996 0.4884 0.5819
Cr 0.1979 0.4056 0.8918
Cr 0.3446 0.2388 0.3134
Cr 0.7755 0.7623 0.2597
Cr 0.1156 0.6319 0.6788
Cr 0.5917 0.9650 0.4167
Cr 0.8229 0.1777 0.1719
Cr 0.1272 0.7079 0.9562
Cr 0.4226 0.4329 0.5628
Cr 0.0772 0.2111 0.2638
Fe 0.3761 0.8490 0.9001
Fe 0.5038 0.5800 0.3050
Fe 0.5275 0.1635 0.9845
Fe 0.3723 0.9333 0.1907
Fe 0.1776 0.5353 0.4117
Fe 0.8481 0.7499 0.5350
Fe 0.5992 0.8549 0.6835
Fe 0.6065 0.2699 0.3206
O 0.9895 0.1935 0.6910
O 0.4788 0.7985 0.3053
O 0.0982 0.2528 0.9484
O 0.5144 0.0981 0.7685
O 0.7439 0.1065 0.3560
O 0.1848 0.0469 0.6567
O 0.6465 0.6190 0.0217
O 0.9802 0.7300 0.0647
O 0.9347 0.9466 0.5506
O 0.0561 0.4956 0.8349
O 0.9865 0.7449 0.6924
O 0.7150 0.6924 0.6477
O 0.1173 0.4575 0.5692
O 0.4736 0.0964 0.3304
O 0.5765 0.4440 0.4466
O 0.1752 0.7352 0.5249
O 0.7532 0.2966 0.6095
O 0.0590 0.9342 0.8993
O 0.6612 0.2460 0.1348
O 0.8002 0.8566 0.9011
O 0.2349 0.5532 0.0057
O 0.4629 0.8947 0.5477
O 0.8586 0.5371 0.4845
O 0.0732 0.5815 0.2820
O 0.3267 0.1256 0.9246
O 0.2424 0.8711 0.0386
O 0.2062 0.3636 0.3076
O 0.3597 0.5830 0.4461
O 0.2759 0.3355 0.7358
O 0.6275 0.3410 0.8980
O 0.9219 0.7614 0.3447
O 0.0540 0.1424 0.4336
O 0.7666 0.5518 0.2266
O 0.2536 0.8934 0.3490
O 0.9859 0.0697 0.1253
O 0.9221 0.3152 0.2892
O 0.4481 0.3720 0.2352
O 0.8702 0.3362 0.0375
O 0.3204 0.2563 0.4959
O 0.6965 0.7904 0.4129
O 0.2347 0.7131 0.7935
O 0.5057 0.9532 0.0399
O 0.2374 0.1225 0.1975
O 0.5441 0.4488 0.6845
O 0.7654 0.8977 0.1389
O 0.6925 0.0296 0.5951
O 0.7983 0.1419 0.8320
O 0.5297 0.7569 0.8388



Record 6
Density functional theory data (GGA+U) for MgNi2O5 after structural relaxation.

Properties
As for the space group: Cmcm (63). The calculated volume comes out at 14.00 Å³ per atom. The calculation puts the total moment at 4.00 μB per formula unit. The value obtained for the total energy is -5.028 eV per atom. Its formation energy from the elements is -1.03 eV per atom. Its offset from the most stable computed form is 81.9 meV/atom.

Unit cell a=5.7355 b=5.7355 c=10.7312 alpha=90.00 beta=90.00 gamma=140.61
Element x y z (fractional)
Mg 0.1212 0.8788 0.7500
Mg 0.8788 0.1212 0.2500
Ni 0.7597 0.2403 0.5973
Ni 0.2403 0.7597 0.4027
Ni 0.2403 0.7597 0.0973
Ni 0.7597 0.2403 0.9027
O 0.3337 0.6663 0.2500
O 0.6663 0.3337 0.7500
O 0.7772 0.2228 0.0820
O 0.2228 0.7772 0.9180
O 0.2228 0.7772 0.5820
O 0.7772 0.2228 0.4180
O 0.9299 0.0701 0.6868
O 0.0701 0.9299 0.3132
O 0.9299 0.0701 0.8132
O 0.0701 0.9299 0.1868



Which of these has the lowest formation energy from the elements?
SrCaSmFeO6



calculated volume of number 3 (Li4NbV3Cr2P6O24)?
12.35 Å³ per atom